# Na7Zr2Ti2Si5PO24

A relaxed Na7Zr2Ti2Si5PO24 crystal (PBE, Materials Project).

Structure (CIF):
```
data_Na7Zr2Ti2Si5PO24
_symmetry_space_group_name_H-M 'P 1'
_symmetry_Int_Tables_number 1
_cell_length_a 9.083
_cell_length_b 9.087
_cell_length_c 22.471
_cell_angle_alpha 89.95
_cell_angle_beta 89.93
_cell_angle_gamma 60.10
loop_
_symmetry_equiv_pos_as_xyz
'x,y,z'
loop_
_atom_site_label
_atom_site_type_symbol
_atom_site_fract_x
_atom_site_fract_y
_atom_site_fract_z
Na1 Na 0.000 0.000 0.000
Na2 Na 0.000 0.358 0.502
Na3 Na 0.032 0.292 0.835
Na4 Na 0.036 0.026 0.334
Na5 Na 0.040 0.657 0.584
Na6 Na 0.046 0.647 0.083
Na7 Na 0.072 0.324 0.166
Na8 Na 0.078 0.956 0.667
Na9 Na 0.338 0.319 0.666
Na10 Na 0.338 0.692 0.169
Na11 Na 0.373 0.977 0.750
Na12 Na 0.377 0.617 0.502
Na13 Na 0.383 0.978 0.256
Na14 Na 0.407 0.290 0.336
Na15 Na 0.677 0.025 0.834
Na16 Na 0.691 0.331 0.917
Na17 Na 0.701 0.697 0.667
Na18 Na 0.704 0.332 0.416
Na19 Na 0.706 0.955 0.168
Na20 Na 0.739 0.622 0.004
Na21 Na 0.740 0.996 0.502
Zr1 Zr 0.034 0.664 0.233
Zr2 Zr 0.037 0.656 0.935
Zr3 Zr 0.037 0.663 0.731
Zr4 Zr 0.040 0.660 0.436
Zr5 Zr 0.371 0.989 0.899
Zr6 Zr 0.373 0.995 0.105
Ti1 Ti 0.372 0.991 0.603
Ti2 Ti 0.383 0.979 0.401
Ti3 Ti 0.698 0.329 0.269
Ti4 Ti 0.705 0.323 0.565
Ti5 Ti 0.708 0.317 0.067
Ti6 Ti 0.708 0.328 0.767
Si1 Si 0.035 0.960 0.833
Si2 Si 0.070 0.290 0.003
Si3 Si 0.085 0.995 0.501
Si4 Si 0.343 0.659 0.334
Si5 Si 0.375 0.274 0.502
Si6 Si 0.421 0.326 0.168
Si7 Si 0.423 0.611 0.666
Si8 Si 0.658 0.701 0.503
Si9 Si 0.667 0.998 0.001
Si10 Si 0.700 0.041 0.667
Si11 Si 0.706 0.606 0.167
Si12 Si 0.735 0.960 0.335
Si13 Si 0.739 0.653 0.832
Si14 Si 0.989 0.040 0.169
Si15 Si 0.995 0.320 0.666
P1 P 0.037 0.359 0.334
P2 P 0.338 0.365 0.832
P3 P 0.376 0.691 0.003
O1 O 0.005 0.870 0.891
O2 O 0.006 0.851 0.171
O3 O 0.013 0.471 0.390
O4 O 0.015 0.489 0.670
O5 O 0.046 0.480 0.999
O6 O 0.064 0.842 0.774
O7 O 0.067 0.446 0.279
O8 O 0.068 0.823 0.498
O9 O 0.158 0.168 0.944
O10 O 0.176 0.024 0.443
O11 O 0.179 0.018 0.165
O12 O 0.182 0.148 0.661
O13 O 0.187 0.197 0.061
O14 O 0.197 0.992 0.837
O15 O 0.200 0.184 0.339
O16 O 0.203 0.463 0.498
O17 O 0.208 0.963 0.560
O18 O 0.213 0.681 0.996
O19 O 0.218 0.693 0.276
O20 O 0.226 0.444 0.776
O21 O 0.232 0.493 0.172
O22 O 0.236 0.626 0.670
O23 O 0.248 0.476 0.887
O24 O 0.254 0.620 0.392
O25 O 0.344 0.804 0.059
O26 O 0.345 0.182 0.560
O27 O 0.345 0.836 0.343
O28 O 0.351 0.188 0.839
O29 O 0.403 0.800 0.662
O30 O 0.404 0.155 0.444
O31 O 0.404 0.782 0.949
O32 O 0.405 0.154 0.165
O33 O 0.513 0.490 0.607
O34 O 0.517 0.339 0.827
O35 O 0.518 0.353 0.112
O36 O 0.525 0.485 0.327
O37 O 0.531 0.022 0.662
O38 O 0.533 0.798 0.446
O39 O 0.535 0.794 0.165
O40 O 0.538 0.295 0.227
O41 O 0.539 0.519 0.008
O42 O 0.544 0.987 0.342
O43 O 0.545 0.293 0.507
O44 O 0.549 0.513 0.722
O45 O 0.554 0.020 0.942
O46 O 0.559 0.830 0.838
O47 O 0.567 0.824 0.561
O48 O 0.584 0.957 0.059
O49 O 0.673 0.159 0.725
O50 O 0.674 0.514 0.507
O51 O 0.678 0.508 0.223
O52 O 0.691 0.164 0.008
O53 O 0.724 0.145 0.328
O54 O 0.730 0.479 0.825
O55 O 0.732 0.133 0.608
O56 O 0.734 0.491 0.107
O57 O 0.822 0.842 0.275
O58 O 0.832 0.684 0.775
O59 O 0.846 0.683 0.498
O60 O 0.858 0.828 0.997
O61 O 0.859 0.145 0.827
O62 O 0.861 0.869 0.392
O63 O 0.862 0.618 0.891
O64 O 0.870 0.352 0.608
O65 O 0.872 0.130 0.110
O66 O 0.872 0.852 0.669
O67 O 0.877 0.623 0.172
O68 O 0.881 0.336 0.329
O69 O 0.882 0.307 0.008
O70 O 0.896 0.164 0.507
O71 O 0.899 0.158 0.227
O72 O 0.904 0.291 0.725
```

Computed properties:
E_form, eV per atom: -3.068
Calculated total energy, eV/atom: -7.38
Total magnetic moment, μB/atom: 0.000